Mg6CrCu: optimized geometry, PBE.

Computed properties:
Theoretical density: 2.7 g/cm³
ΔE_f: 0.1618 eV per atom

a b c (Å): 4.907 6.131 10.531
angles (deg): 90.00 90.00 90.00
Fractional positions:
Mg1 0.500 0.248 0.083
Mg2 0.500 0.752 0.083
Mg3 0.000 0.249 0.913
Mg4 0.000 0.751 0.913
Mg5 0.000 0.500 0.171
Mg6 0.000 0.500 0.670
Mg7 0.500 0.748 0.583
Mg8 0.500 0.252 0.583
Mg9 0.000 0.749 0.413
Mg10 0.000 0.251 0.413
Mg11 0.000 0.000 0.671
Mg12 0.000 0.000 0.170
Cr1 0.500 0.500 0.833
Cr2 0.500 0.000 0.333
Cu1 0.500 0.500 0.333
Cu2 0.500 0.000 0.833